{"formula": "Ge2SeS", "functional": "r²SCAN", "state": "optimized geometry", "lattice": [[-2.011, 1.492, -2.724], [2.033, -2.796, -3.033], [-7.824, -7.498, 1.668]], "species": ["Ge", "Ge", "Ge", "Ge", "Se", "Se", "S", "S"], "fractional_positions": [[0.000, 0.139, 0.631], [0.000, 0.861, 0.131], [0.500, 0.396, 0.375], [0.500, 0.604, 0.875], [0.500, 0.237, 0.149], [0.500, 0.763, 0.649], [0.000, 0.263, 0.845], [0.000, 0.737, 0.345]], "magnetic_moment_mub_per_cell": 0.000, "total_energy_ev_per_cell": -101.9}